# 1
Compound: Sc3SnC
Source: the Materials Project
Functional: PBE
Structure: relaxed

Results
The total DFT energy (no corrections) is -7.236 eV per atom. As for the formation energy: -0.789 eV per atom.

a b c (Å): 4.5361 4.5361 4.5361
angles (deg): 90.00 90.00 90.00
With the nearest neighbours (Å) after each atom.
Atoms (fractional coordinates):
Sc: 0.0000 0.0000 0.5000  2 C 2.27
Sc: 0.0000 0.5000 0.0000  2 C 2.27
Sc: 0.5000 0.0000 0.0000  2 C 2.27
Sn: 0.5000 0.5000 0.5000  12 Sc 3.21
C: 0.0000 0.0000 0.0000  6 Sc 2.27


# 2
Compound: TbP2O2
Source: the Materials Project
Functional: PBE
Structure: relaxed

Results
The total DFT energy (no corrections) is -6.353 eV per atom. As for the formation energy: -1.556 eV per atom. For the MP2020-corrected energy, the calculation gives -6.63 eV/atom.

a b c (Å): 10.3006 10.3006 10.3006
angles (deg): 127.36 127.36 77.67
With the nearest neighbours (Å) after each atom.
Atoms (fractional coordinates):
Tb: 0.0000 0.0000 0.0000  2 O 2.24
Tb: 0.0000 0.0000 0.5000  2 O 2.24
Tb: 0.0000 0.5000 0.0000  2 O 2.24
Tb: 0.5000 0.0000 0.5000  2 O 2.24
P: 0.0726 0.1721 0.9004  1 O 1.58
P: 0.1721 0.0726 0.4004  1 O 1.58
P: 0.1721 0.7717 0.0996  1 O 1.58
P: 0.2283 0.8279 0.4004  1 O 1.58
P: 0.7717 0.1721 0.5996  1 O 1.58
P: 0.8279 0.2283 0.9004  1 O 1.58
P: 0.8279 0.9274 0.5996  1 O 1.58
P: 0.9274 0.8279 0.0996  1 O 1.58
O: 0.1351 0.1961 0.5610  1 P 1.58
O: 0.1351 0.5741 0.9390  1 P 1.58
O: 0.1961 0.1351 0.0610  1 P 1.58
O: 0.4259 0.8649 0.5610  1 P 1.58
O: 0.5741 0.1351 0.4390  1 P 1.58
O: 0.8039 0.8649 0.9390  1 P 1.58
O: 0.8649 0.4259 0.0610  1 P 1.58
O: 0.8649 0.8039 0.4390  1 P 1.58


# 3
Compound: Na5GdO4
Source: the Materials Project
Functional: PBE
Structure: relaxed

Results
The total DFT energy (no corrections) is -5.803 eV per atom. For the energy above the lowest structure with this stoichiometry, the calculation gives 3.82 kJ per mole of atoms. As for the formation energy: -2.030 eV per atom. For the MP2020-corrected energy, the calculation gives -6.08 eV/atom.

a b c (Å): 15.0840 15.0840 5.5464
angles (deg): 90.00 90.00 90.00
With the nearest neighbours (Å) after each atom.
Atoms (fractional coordinates):
Na: 0.0138 0.5138 0.2500  2 O 2.23
Na: 0.0138 0.9862 0.2500  2 O 2.23
Na: 0.1014 0.1453 0.1893  4 O 2.25-2.52
Na: 0.1014 0.3547 0.1893  4 O 2.25-2.52
Na: 0.1224 0.6224 0.7500  4 O 2.38-2.40
Na: 0.1224 0.8776 0.7500  4 O 2.38-2.40
Na: 0.1453 0.1014 0.6893  4 O 2.25-2.52
Na: 0.1453 0.3986 0.6893  4 O 2.25-2.52
Na: 0.2500 0.2500 0.1266  4 O 2.34-2.40
Na: 0.2500 0.2500 0.6266  4 O 2.34-2.40
Na: 0.2500 0.7500 0.2500  4 O 2.38
Na: 0.2500 0.7500 0.7500  4 O 2.43
Na: 0.3547 0.1014 0.6893  4 O 2.25-2.52
Na: 0.3547 0.3986 0.6893  4 O 2.25-2.52
Na: 0.3776 0.6224 0.7500  4 O 2.38-2.40
Na: 0.3776 0.8776 0.7500  4 O 2.38-2.40
Na: 0.3986 0.1453 0.1893  4 O 2.25-2.52
Na: 0.3986 0.3547 0.1893  4 O 2.25-2.52
Na: 0.4862 0.5138 0.2500  2 O 2.23
Na: 0.4862 0.9862 0.2500  2 O 2.23
Na: 0.5138 0.0138 0.7500  2 O 2.23
Na: 0.5138 0.4862 0.7500  2 O 2.23
Na: 0.6014 0.6453 0.8107  4 O 2.25-2.52
Na: 0.6014 0.8547 0.8107  4 O 2.25-2.52
Na: 0.6224 0.1224 0.2500  4 O 2.38-2.40
Na: 0.6224 0.3776 0.2500  4 O 2.38-2.40
Na: 0.6453 0.6014 0.3107  4 O 2.25-2.52
Na: 0.6453 0.8986 0.3107  4 O 2.25-2.52
Na: 0.7500 0.2500 0.2500  4 O 2.43
Na: 0.7500 0.2500 0.7500  4 O 2.38
Na: 0.7500 0.7500 0.3734  4 O 2.34-2.40
Na: 0.7500 0.7500 0.8734  4 O 2.34-2.40
Na: 0.8547 0.6014 0.3107  4 O 2.25-2.52
Na: 0.8547 0.8986 0.3107  4 O 2.25-2.52
Na: 0.8776 0.1224 0.2500  4 O 2.38-2.40
Na: 0.8776 0.3776 0.2500  4 O 2.38-2.40
Na: 0.8986 0.6453 0.8107  4 O 2.25-2.52
Na: 0.8986 0.8547 0.8107  4 O 2.25-2.52
Na: 0.9862 0.0138 0.7500  2 O 2.23
Na: 0.9862 0.4862 0.7500  2 O 2.23
Gd: 0.0147 0.7500 0.2853  4 O 2.21-2.27
Gd: 0.2500 0.5147 0.2147  4 O 2.21-2.27
Gd: 0.2500 0.9853 0.2147  4 O 2.21-2.27
Gd: 0.4853 0.7500 0.2853  4 O 2.21-2.27
Gd: 0.5147 0.2500 0.7147  4 O 2.21-2.27
Gd: 0.7500 0.0147 0.7853  4 O 2.21-2.27
Gd: 0.7500 0.4853 0.7853  4 O 2.21-2.27
Gd: 0.9853 0.2500 0.7147  4 O 2.21-2.27
O: 0.0064 0.1274 0.4989  1 Gd 2.23, 4 Na 2.23-2.38
O: 0.0064 0.3726 0.4989  1 Gd 2.23, 4 Na 2.23-2.38
O: 0.1197 0.7500 0.0075  1 Gd 2.21, 4 Na 2.38-2.43
O: 0.1223 0.2500 0.8859  1 Gd 2.27, 6 Na 2.33-2.52
O: 0.1274 0.0064 0.9989  1 Gd 2.23, 4 Na 2.23-2.38
O: 0.1274 0.4936 0.9989  1 Gd 2.23, 4 Na 2.23-2.38
O: 0.2500 0.1223 0.3859  1 Gd 2.27, 6 Na 2.33-2.52
O: 0.2500 0.3777 0.3859  1 Gd 2.27, 6 Na 2.33-2.52
O: 0.2500 0.6197 0.4925  1 Gd 2.21, 4 Na 2.38-2.43
O: 0.2500 0.8803 0.4925  1 Gd 2.21, 4 Na 2.38-2.43
O: 0.3726 0.0064 0.9989  1 Gd 2.23, 4 Na 2.23-2.38
O: 0.3726 0.4936 0.9989  1 Gd 2.23, 4 Na 2.23-2.38
O: 0.3777 0.2500 0.8859  1 Gd 2.27, 6 Na 2.33-2.52
O: 0.3803 0.7500 0.0075  1 Gd 2.21, 4 Na 2.38-2.43
O: 0.4936 0.1274 0.4989  1 Gd 2.23, 4 Na 2.23-2.38
O: 0.4936 0.3726 0.4989  1 Gd 2.23, 4 Na 2.23-2.38
O: 0.5064 0.6274 0.5011  1 Gd 2.23, 4 Na 2.23-2.38
O: 0.5064 0.8726 0.5011  1 Gd 2.23, 4 Na 2.23-2.38
O: 0.6197 0.2500 0.9925  1 Gd 2.21, 4 Na 2.38-2.43
O: 0.6223 0.7500 0.1141  1 Gd 2.27, 6 Na 2.33-2.52
O: 0.6274 0.5064 0.0011  1 Gd 2.23, 4 Na 2.23-2.38
O: 0.6274 0.9936 0.0011  1 Gd 2.23, 4 Na 2.23-2.38
O: 0.7500 0.1197 0.5075  1 Gd 2.21, 4 Na 2.38-2.43
O: 0.7500 0.3803 0.5075  1 Gd 2.21, 4 Na 2.38-2.43
O: 0.7500 0.6223 0.6141  1 Gd 2.27, 6 Na 2.33-2.52
O: 0.7500 0.8777 0.6141  1 Gd 2.27, 6 Na 2.33-2.52
O: 0.8726 0.5064 0.0011  1 Gd 2.23, 4 Na 2.23-2.38
O: 0.8726 0.9936 0.0011  1 Gd 2.23, 4 Na 2.23-2.38
O: 0.8777 0.7500 0.1141  1 Gd 2.27, 6 Na 2.33-2.52
O: 0.8803 0.2500 0.9925  1 Gd 2.21, 4 Na 2.38-2.43
O: 0.9936 0.6274 0.5011  1 Gd 2.23, 4 Na 2.23-2.38
O: 0.9936 0.8726 0.5011  1 Gd 2.23, 4 Na 2.23-2.38